Here is a relaxed structure of Nb2AgS4 from Materials Project. Energies are from PBE.

**Energy of formation from the pure elements**: -1.161 eV/atom

a = 3.3966 Å, b = 3.3966 Å, c = 14.5663 Å
α = 90.00°, β = 90.00°, γ = 120.00°
Space group P3m1 (No. 156)
Inequivalent atoms, fractional coordinates:
Nb: 0.0000 0.0000 0.0000 (multiplicity 1)
Nb: 0.3333 0.6667 0.5114 (multiplicity 1)
Ag: 0.3333 0.6667 0.2750 (multiplicity 1)
S: 0.0000 0.0000 0.4032 (multiplicity 1)
S: 0.0000 0.0000 0.6152 (multiplicity 1)
S: 0.3333 0.6667 0.1076 (multiplicity 1)
S: 0.3333 0.6667 0.8962 (multiplicity 1)

Here is a relaxed structure of Nb3Ag2TeS6 from Materials Project. Energies are from PBE.

**Energy of formation from the pure elements**: -1.064 eV/atom
**Total magnetic moment**: 0.013 μB per formula unit

a = 8.3022 Å, b = 10.0330 Å, c = 5.7809 Å
α = 90.00°, β = 90.00°, γ = 90.00°
Space group Amm2 (No. 38)
Inequivalent atoms, fractional coordinates:
Nb: 0.0000 0.0000 0.0000 (multiplicity 2)
Nb: 0.0000 0.1694 0.5071 (multiplicity 4)
Ag: 0.5000 0.1579 0.8627 (multiplicity 4)
Te: 0.5000 0.0000 0.3364 (multiplicity 2)
S: 0.1832 0.0000 0.3377 (multiplicity 4)
S: 0.1918 0.1665 0.8386 (multiplicity 8)

Here is a relaxed structure of Nb3AgTe4 from Materials Project. Energies are from PBE.

**Energy of formation from the pure elements**: -0.238 eV/atom
**Distance to the lowest polymorph of the same formula**: 44 meV per atom
**Total magnetic moment**: 0.001 μB per formula unit

a = 8.7110 Å, b = 4.8990 Å, c = 9.6552 Å
α = 90.00°, β = 109.62°, γ = 90.00°
Space group P2_1/m (No. 11)
Inequivalent atoms, fractional coordinates:
Nb: 0.0575 0.2500 0.3425 (multiplicity 2)
Nb: 0.1646 0.2500 0.1101 (multiplicity 2)
Nb: 0.4008 0.2500 0.5194 (multiplicity 2)
Ag: 0.5000 0.0000 0.0000 (multiplicity 2)
Te: 0.1463 0.2500 0.6560 (multiplicity 2)
Te: 0.1691 0.7500 0.9532 (multiplicity 2)
Te: 0.2407 0.7500 0.3247 (multiplicity 2)
Te: 0.4665 0.7500 0.7036 (multiplicity 2)

Here is a relaxed structure of Nb3AgTe4 from Materials Project. Energies are from PBE.

**Energy of formation from the pure elements**: -0.282 eV/atom
**Distance to the lowest polymorph of the same formula**: 0 meV per atom
**Total magnetic moment**: 0.006 μB per formula unit

a = 9.8215 Å, b = 9.8215 Å, c = 4.6921 Å
α = 90.00°, β = 90.00°, γ = 120.00°
Space group P6_3/m (No. 176)
Inequivalent atoms, fractional coordinates:
Nb: 0.1480 0.6401 0.2500 (multiplicity 6)
Ag: 0.0000 0.0000 0.0000 (multiplicity 2)
Te: 0.0100 0.3096 0.2500 (multiplicity 6)
Te: 0.3333 0.6667 0.7500 (multiplicity 2)

Here is a relaxed structure of NdAg3 from Materials Project. Energies are from PBE.

**Energy of formation from the pure elements**: -0.195 eV/atom

a = 6.5779 Å, b = 6.5779 Å, c = 4.8646 Å
α = 90.00°, β = 90.00°, γ = 120.00°
Space group P6_3/mmc (No. 194)
Inequivalent atoms, fractional coordinates:
Nd: 0.3333 0.6667 0.2500 (multiplicity 2)
Ag: 0.1508 0.3016 0.7500 (multiplicity 6)

Here is a relaxed structure of NdAg from Materials Project. Energies are from PBE.

**Energy of formation from the pure elements**: -0.255 eV/atom

a = 3.7631 Å, b = 3.7631 Å, c = 3.7631 Å
α = 90.00°, β = 90.00°, γ = 90.00°
Space group Pm-3m (No. 221)
Inequivalent atoms, fractional coordinates:
Nd: 0.0000 0.0000 0.0000 (multiplicity 1)
Ag: 0.5000 0.5000 0.5000 (multiplicity 1)

Here is a relaxed structure of NdAgP4O12 from Materials Project. Energies are from PBE.

**Energy of formation from the pure elements**: -2.713 eV/atom
**Total magnetic moment**: 0.000 μB per formula unit

a = 7.3734 Å, b = 13.3658 Å, c = 12.4286 Å
α = 90.00°, β = 125.90°, γ = 90.00°
Space group P2_1/c (No. 14)
Inequivalent atoms, fractional coordinates:
Nd: 0.0345 0.2185 0.0221 (multiplicity 4)
Ag: 0.4318 0.2228 0.9326 (multiplicity 4)
P: 0.0625 0.0900 0.2977 (multiplicity 4)
P: 0.1580 0.6259 0.8041 (multiplicity 4)
P: 0.3865 0.6136 0.2631 (multiplicity 4)
P: 0.4930 0.5999 0.7466 (multiplicity 4)
O: 0.0175 0.1325 0.8431 (multiplicity 4)
O: 0.1237 0.1098 0.2039 (multiplicity 4)
O: 0.1427 0.5205 0.8618 (multiplicity 4)
O: 0.1487 0.1604 0.4129 (multiplicity 4)
O: 0.1727 0.7064 0.8934 (multiplicity 4)
O: 0.2072 0.5795 0.2906 (multiplicity 4)
O: 0.2840 0.6878 0.1520 (multiplicity 4)
O: 0.3023 0.1644 0.6996 (multiplicity 4)
O: 0.3091 0.6072 0.5999 (multiplicity 4)
O: 0.4037 0.1431 0.1048 (multiplicity 4)
O: 0.4039 0.6208 0.8357 (multiplicity 4)
O: 0.4243 0.5135 0.2079 (multiplicity 4)

Here is a relaxed structure of Nd3SiAgS7 from Materials Project. Energies are from PBE.

**Energy of formation from the pure elements**: -1.795 eV/atom

a = 10.3175 Å, b = 10.3175 Å, c = 5.7856 Å
α = 90.00°, β = 90.00°, γ = 120.00°
Space group P6_3 (No. 173)
Inequivalent atoms, fractional coordinates:
Nd: 0.1253 0.3599 0.0000 (multiplicity 6)
Si: 0.3333 0.6667 0.4121 (multiplicity 2)
Ag: 0.0000 0.0000 0.0661 (multiplicity 2)
S: 0.0938 0.2694 0.5181 (multiplicity 6)
S: 0.1150 0.5899 0.2663 (multiplicity 6)
S: 0.3333 0.6667 0.7782 (multiplicity 2)

Here is a relaxed structure of Nd4Ag2Se7 from Materials Project. Energies are from PBE.

**Energy of formation from the pure elements**: -1.648 eV/atom
**Total magnetic moment**: 0.001 μB per formula unit

a = 7.5181 Å, b = 12.3918 Å, c = 7.8559 Å
α = 90.00°, β = 108.89°, γ = 90.00°
Space group Pc (No. 7)
Inequivalent atoms, fractional coordinates:
Nd: 0.0000 0.0606 0.0000 (multiplicity 2)
Nd: 0.4296 0.1477 0.7919 (multiplicity 2)
Nd: 0.6204 0.2060 0.3496 (multiplicity 2)
Nd: 0.9269 0.3708 0.8006 (multiplicity 2)
Ag: 0.1351 0.3153 0.3670 (multiplicity 2)
Ag: 0.5409 0.4441 0.0009 (multiplicity 2)
Se: 0.0070 0.1695 0.6359 (multiplicity 2)
Se: 0.2729 0.0678 0.3711 (multiplicity 2)
Se: 0.2951 0.2906 0.0486 (multiplicity 2)
Se: 0.4897 0.3456 0.6024 (multiplicity 2)
Se: 0.6819 0.0052 0.1694 (multiplicity 2)
Se: 0.7880 0.2510 0.0463 (multiplicity 2)
Se: 0.8419 0.4239 0.4169 (multiplicity 2)

Here is a relaxed structure of Nd5AgSe8 from Materials Project. Energies are from PBE.

**Energy of formation from the pure elements**: -1.949 eV/atom

a = 8.9049 Å, b = 8.9049 Å, c = 9.0185 Å
α = 90.00°, β = 90.00°, γ = 90.00°
Space group I-4 (No. 82)
Inequivalent atoms, fractional coordinates:
Nd: 0.0000 0.0000 0.0000 (multiplicity 2)
Nd: 0.1302 0.7521 0.6202 (multiplicity 8)
Ag: 0.0000 0.5000 0.2500 (multiplicity 2)
Se: 0.0711 0.8205 0.2964 (multiplicity 8)
Se: 0.0763 0.6807 0.9376 (multiplicity 8)

Here is a relaxed structure of NdSiAg from Materials Project. Energies are from PBE.

**Energy of formation from the pure elements**: -0.534 eV/atom

a = 4.4562 Å, b = 4.4562 Å, c = 7.8603 Å
α = 90.00°, β = 90.00°, γ = 120.00°
Space group P6_3/mmc (No. 194)
Inequivalent atoms, fractional coordinates:
Nd: 0.0000 0.0000 0.0000 (multiplicity 2)
Si: 0.3333 0.6667 0.2500 (multiplicity 2)
Ag: 0.3333 0.6667 0.7500 (multiplicity 2)

Here is a relaxed structure of Nd2Si3Ag from Materials Project. Energies are from PBE.

**Energy of formation from the pure elements**: -0.641 eV/atom

a = 4.0985 Å, b = 4.3347 Å, c = 14.5033 Å
α = 90.00°, β = 90.00°, γ = 90.00°
Space group Imm2 (No. 44)
Inequivalent atoms, fractional coordinates:
Nd: 0.0000 0.0000 0.0000 (multiplicity 2)
Nd: 0.0000 0.5000 0.2652 (multiplicity 2)
Si: 0.0000 0.0000 0.4238 (multiplicity 2)
Si: 0.0000 0.5000 0.6760 (multiplicity 2)
Si: 0.0000 0.5000 0.8378 (multiplicity 2)
Ag: 0.0000 0.0000 0.5935 (multiplicity 2)

Here is a relaxed structure of NdSi2Ag from Materials Project. Energies are from PBE.

**Energy of formation from the pure elements**: -0.509 eV/atom

a = 4.2360 Å, b = 17.7022 Å, c = 4.2086 Å
α = 90.00°, β = 90.00°, γ = 90.00°
Space group Cmcm (No. 63)
Inequivalent atoms, fractional coordinates:
Nd: 0.0000 0.0961 0.2500 (multiplicity 4)
Si: 0.0000 0.3357 0.2500 (multiplicity 4)
Si: 0.0000 0.4668 0.2500 (multiplicity 4)
Ag: 0.0000 0.2482 0.7500 (multiplicity 4)

Here is a relaxed structure of NdAgSn from Materials Project. Energies are from PBE.

**Energy of formation from the pure elements**: -0.349 eV/atom
**Total magnetic moment**: 0.001 μB per formula unit

a = 4.8891 Å, b = 4.8891 Å, c = 7.7822 Å
α = 90.00°, β = 90.00°, γ = 120.00°
Space group P-3m1 (No. 164)
Inequivalent atoms, fractional coordinates:
Nd: 0.0000 0.0000 0.2322 (multiplicity 2)
Ag: 0.3333 0.6667 0.9815 (multiplicity 2)
Sn: 0.3333 0.6667 0.5522 (multiplicity 2)

Here is a relaxed structure of NdAgSn from Materials Project. Energies are from PBE.

**Energy of formation from the pure elements**: -0.622 eV/atom

a = 4.8227 Å, b = 4.8227 Å, c = 7.6760 Å
α = 90.00°, β = 90.00°, γ = 120.00°
Space group P6_3mc (No. 186)
Inequivalent atoms, fractional coordinates:
Nd: 0.0000 0.0000 0.0000 (multiplicity 2)
Ag: 0.3333 0.6667 0.3032 (multiplicity 2)
Sn: 0.3333 0.6667 0.7204 (multiplicity 2)

Here is a relaxed structure of NdZn2Ag from Materials Project. Energies are from PBE.

**Energy of formation from the pure elements**: -0.293 eV/atom
**Total magnetic moment**: 0.001 μB per formula unit

a = 6.8516 Å, b = 6.8516 Å, c = 6.8516 Å
α = 90.00°, β = 90.00°, γ = 90.00°
Space group Fm-3m (No. 225)
Inequivalent atoms, fractional coordinates:
Nd: 0.0000 0.0000 0.0000 (multiplicity 4)
Zn: 0.2500 0.2500 0.2500 (multiplicity 8)
Ag: 0.0000 0.0000 0.5000 (multiplicity 4)

Here is a relaxed structure of Nd2ZnAg from Materials Project. Energies are from PBE.

**Energy of formation from the pure elements**: -0.280 eV/atom

a = 7.4631 Å, b = 7.4631 Å, c = 7.4631 Å
α = 90.00°, β = 90.00°, γ = 90.00°
Space group Fm-3m (No. 225)
Inequivalent atoms, fractional coordinates:
Nd: 0.2500 0.2500 0.2500 (multiplicity 8)
Zn: 0.0000 0.0000 0.0000 (multiplicity 4)
Ag: 0.0000 0.0000 0.5000 (multiplicity 4)

Here is a relaxed structure of NiAg2Sn3S8 from Materials Project. Energies are from PBE.

**Energy of formation from the pure elements**: -0.599 eV/atom
**Distance to the lowest polymorph of the same formula**: 0 meV per atom

a = 7.6546 Å, b = 7.6546 Å, c = 18.1546 Å
α = 90.00°, β = 90.00°, γ = 120.00°
Space group R-3m (No. 166, hexagonal axes)
Inequivalent atoms, fractional coordinates:
Ni: 0.0000 0.0000 0.0000 (multiplicity 3)
Ag: 0.0000 0.0000 0.3938 (multiplicity 6)
Sn: 0.0000 0.5000 0.5000 (multiplicity 9)
S: 0.0000 0.0000 0.2472 (multiplicity 6)
S: 0.0381 0.5190 0.7479 (multiplicity 18)

Here is a relaxed structure of NiAg2Sn3S8 from Materials Project. Energies are from PBE.

**Energy of formation from the pure elements**: -0.379 eV/atom
**Distance to the lowest polymorph of the same formula**: 220 meV per atom
**Total magnetic moment**: 0.000 μB per formula unit

a = 7.1198 Å, b = 7.7461 Å, c = 7.9569 Å
α = 94.21°, β = 109.88°, γ = 116.60°
Space group P-1 (No. 2)
Inequivalent atoms, fractional coordinates:
Ni: 0.0000 0.0000 0.0000 (multiplicity 1)
Ag: 0.0000 0.0000 0.5000 (multiplicity 1)
Ag: 0.5000 0.5000 0.0000 (multiplicity 1)
Sn: 0.2438 0.5496 0.4157 (multiplicity 2)
Sn: 0.5000 0.0000 0.0000 (multiplicity 1)
S: 0.1364 0.3198 0.0558 (multiplicity 2)
S: 0.1923 0.8690 0.1532 (multiplicity 2)
S: 0.2319 0.8148 0.6798 (multiplicity 2)
S: 0.3557 0.3479 0.6326 (multiplicity 2)